1.
# Np3H

A geometry-optimized Np3H structure (PBE, Materials Project).

Calculated values
Volume, Å³/atom: 14.32
VASP energy, eV per atom: -10.20
Crystal system: hexagonal
Calculated formation energy, eV/atom: 0.315
ρ, g/cm³: 20.6

Cell: 3.7455 3.7455 9.4266 Å, 90.00 90.00 120.00°
With the nearest neighbours (Å) after each atom.
Positions (direct):
Np 0.3333 0.6667 0.9353  6 Np 2.48-2.78, 3 H 2.78
Np 0.6667 0.3333 0.0647  6 Np 2.48-2.78, 3 H 2.78
Np 0.0000 0.0000 0.2500  3 H 2.16
Np 0.0000 0.0000 0.7500  3 H 2.16
Np 0.6667 0.3333 0.4353  6 Np 2.48-2.78, 3 H 2.78
Np 0.3333 0.6667 0.5647  6 Np 2.48-2.78, 3 H 2.78
H 0.3333 0.6667 0.2500  3 Np 2.16
H 0.6667 0.3333 0.7500  3 Np 2.16

2.
# Zn3P2O12

A geometry-optimized Zn3P2O12 structure (PBE, Materials Project).

Calculated values
ΔE to the lowest computed polymorph, kcal/mol of atoms: 5.41
Volume, Å³/atom: 16.39
VASP energy, eV per atom: -5.49
Crystal system: orthorhombic
Calculated formation energy, eV/atom: -1.256
ρ, g/cm³: 2.7

Cell: 5.4124 11.1230 18.5073 Å, 90.00 90.00 90.00°
With the nearest neighbours (Å) after each atom.
Positions (direct):
O 0.6839 0.9724 0.9326  1 P 1.53
O 0.3248 0.8726 0.3376  1 P 1.54
O 0.6752 0.1274 0.8376  1 P 1.54
O 0.1839 0.5276 0.4326  1 P 1.53
O 0.3660 0.8096 0.4687  1 P 1.59
O 0.2544 0.3811 0.7833  1 O 1.23
O 0.7456 0.6189 0.2167  1 O 1.23
O 0.6839 0.9724 0.5674  1 P 1.53
O 0.8660 0.6904 0.5313  1 P 1.59
O 0.4511 0.6199 0.5798  1 P 1.54
O 0.9511 0.8801 0.0798  1 P 1.54
O 0.8161 0.4724 0.9326  1 P 1.53
O 0.7502 0.8522 0.7500  1 Zn 1.90
O 0.5489 0.3801 0.0798  1 P 1.54
O 0.3660 0.8096 0.0313  1 P 1.59
O 0.3444 0.6254 0.7500  1 Zn 1.90
O 0.5489 0.3801 0.4202  1 P 1.54
O 0.2544 0.3811 0.7167  1 O 1.23
O 0.1340 0.3096 0.4687  1 P 1.59
O 0.8248 0.6274 0.8376  1 P 1.54
O 0.1752 0.3726 0.1624  1 P 1.54
O 0.7456 0.6189 0.2833  1 O 1.23
O 0.8161 0.4724 0.5674  1 P 1.53
O 0.6752 0.1274 0.6624  1 P 1.54
O 0.3161 0.0276 0.0674  1 P 1.53
O 0.2502 0.6478 0.2500  1 Zn 1.90
O 0.1556 0.1254 0.7500  1 Zn 1.90
O 0.4511 0.6199 0.9202  1 P 1.54
O 0.8248 0.6274 0.6624  1 P 1.54
O 0.6340 0.1904 0.5313  1 P 1.59
O 0.0489 0.1199 0.5798  1 P 1.54
O 0.8444 0.8746 0.2500  1 Zn 1.90
O 0.6340 0.1904 0.9687  1 P 1.59
O 0.1752 0.3726 0.3376  1 P 1.54
O 0.7544 0.1189 0.2167  1 O 1.23
O 0.7544 0.1189 0.2833  1 O 1.23
O 0.9511 0.8801 0.4202  1 P 1.54
O 0.0489 0.1199 0.9202  1 P 1.54
O 0.3161 0.0276 0.4326  1 P 1.53
O 0.3248 0.8726 0.1624  1 P 1.54
O 0.1340 0.3096 0.0313  1 P 1.59
O 0.2456 0.8811 0.7167  1 O 1.23
O 0.8660 0.6904 0.9687  1 P 1.59
O 0.7498 0.3522 0.7500  1 Zn 1.90
O 0.6556 0.3746 0.2500  1 Zn 1.90
O 0.2456 0.8811 0.7833  1 O 1.23
O 0.1839 0.5276 0.0674  1 P 1.53
O 0.2498 0.1478 0.2500  1 Zn 1.90
Zn 0.2165 0.6537 0.9967  4 O 1.93-2.02
Zn 0.7835 0.3463 0.4967  4 O 1.93-2.02
Zn 0.7165 0.8463 0.4967  4 O 1.93-2.02
Zn 0.7165 0.8463 0.0033  4 O 1.93-2.02
Zn 0.1736 0.8142 0.2500  4 O 1.90-1.93
Zn 0.3264 0.3142 0.2500  4 O 1.90-1.93
Zn 0.2835 0.1537 0.9967  4 O 1.93-2.02
Zn 0.2165 0.6537 0.5033  4 O 1.93-2.02
Zn 0.7835 0.3463 0.0033  4 O 1.93-2.02
Zn 0.2835 0.1537 0.5033  4 O 1.93-2.02
Zn 0.6736 0.6858 0.7500  4 O 1.90-1.93
Zn 0.8264 0.1858 0.7500  4 O 1.90-1.93
P 0.7312 0.6004 0.5852  4 O 1.53-1.59
P 0.7688 0.1004 0.9148  4 O 1.53-1.59
P 0.2688 0.3996 0.0852  4 O 1.53-1.59
P 0.7688 0.1004 0.5852  4 O 1.53-1.59
P 0.2312 0.8996 0.0852  4 O 1.53-1.59
P 0.2312 0.8996 0.4148  4 O 1.53-1.59
P 0.7312 0.6004 0.9148  4 O 1.53-1.59
P 0.2688 0.3996 0.4148  4 O 1.53-1.59